Entry 1:
The following is a DFT calculation (r2SCAN) of crystalline CeAlSi at its relaxed geometry.

crystal system	tetragonal
DFT formation energy	-0.701	eV/atom
magnetic moment	1.01	μB per formula unit

abc: 7.934 7.934 7.934
angles: 149.05 149.05 44.34
Fractional coordinates of all 6 atoms:
Ce (0.582, 0.582, 0.000)
Ce (0.332, 0.832, 0.500)
Al (0.165, 0.165, 0.000)
Al (0.915, 0.415, 0.500)
Si (0.000, 0.000, 0.000)
Si (0.750, 0.250, 0.500)

Entry 2:
The following is a DFT calculation (r2SCAN) of crystalline Al2CoCl8 at its relaxed geometry.

crystal system	monoclinic
DFT formation energy	-1.421	eV/atom
magnetic moment	1.00	μB per formula unit

abc: 9.414 9.414 11.508
angles: 53.35 53.35 49.98
Fractional coordinates of all 22 atoms:
Al (0.164, 0.673, 0.531)
Al (0.327, 0.836, 0.969)
Al (0.836, 0.327, 0.469)
Al (0.673, 0.164, 0.031)
Co (0.990, 0.010, 0.750)
Co (0.010, 0.990, 0.250)
Cl (0.306, 0.375, 0.558)
Cl (0.625, 0.694, 0.942)
Cl (0.694, 0.625, 0.442)
Cl (0.375, 0.306, 0.058)
Cl (0.874, 0.836, 0.510)
Cl (0.164, 0.126, 0.990)
Cl (0.126, 0.164, 0.490)
Cl (0.836, 0.874, 0.010)
Cl (0.136, 0.695, 0.720)
Cl (0.305, 0.864, 0.780)
Cl (0.864, 0.305, 0.280)
Cl (0.695, 0.136, 0.220)
Cl (0.299, 0.847, 0.307)
Cl (0.153, 0.701, 0.193)
Cl (0.701, 0.153, 0.693)
Cl (0.847, 0.299, 0.807)

The lowest magnetic moment belongs to which entry? Al2CoCl8

Number 1 is which compound? CeAlSi